Material: SmTaO4
Method: DFT, GGA-PBE
State: optimized geometry

The structure in CIF format:
```
data_SmTaO4
_chemical_formula_sum 'Sm2 Ta2 O8'
_cell_length_a 6.680
_cell_length_b 6.680
_cell_length_c 5.148
_cell_angle_alpha 69.74
_cell_angle_beta 69.74
_cell_angle_gamma 115.25
_space_group_name_H-M_alt 'P 1'
_space_group_IT_number 1
_space_group_name_Hall 'P 1'
loop_
_atom_site_label
_atom_site_fract_x
_atom_site_fract_y
_atom_site_fract_z
Ta1 0.900 0.100 0.750
Ta2 0.100 0.900 0.250
Sm1 0.369 0.631 0.750
Sm2 0.631 0.369 0.250
O1 0.272 0.208 0.795
O2 0.792 0.728 0.705
O3 0.728 0.792 0.205
O4 0.054 0.640 0.159
O5 0.208 0.272 0.295
O6 0.640 0.054 0.659
O7 0.946 0.360 0.841
O8 0.360 0.946 0.341
```

Energy relative to the elements = -356.7 kJ per mole of atoms
Space group = No. 15

---

Material: Sm3TaO7
Method: DFT, GGA-PBE
State: optimized geometry

The structure in CIF format:
```
data_Sm3TaO7
_chemical_formula_sum 'Sm6 Ta2 O14'
_cell_length_a 6.624
_cell_length_b 6.624
_cell_length_c 7.654
_cell_angle_alpha 90.00
_cell_angle_beta 90.00
_cell_angle_gamma 109.30
_space_group_name_H-M_alt 'P 1'
_space_group_IT_number 1
_space_group_name_Hall 'P 1'
loop_
_atom_site_label
_atom_site_fract_x
_atom_site_fract_y
_atom_site_fract_z
Sm1 0.465 0.001 0.254
Sm2 0.999 0.535 0.246
Sm3 0.523 0.523 0.500
Sm4 0.477 0.477 0.000
Sm5 0.535 0.999 0.754
Sm6 0.001 0.465 0.746
O1 0.364 0.636 0.250
O2 0.061 0.939 0.250
O3 0.690 0.941 0.035
O4 0.923 0.679 0.527
O5 0.370 0.630 0.750
O6 0.321 0.077 0.973
O7 0.679 0.923 0.473
O8 0.310 0.059 0.535
O9 0.636 0.364 0.750
O10 0.939 0.061 0.750
O11 0.077 0.321 0.027
O12 0.630 0.370 0.250
O13 0.941 0.690 0.965
O14 0.059 0.310 0.465
Ta1 0.002 0.002 0.500
Ta2 0.998 0.998 0.000
```

Offset from the most stable computed form = 0 meV per atom
Energy relative to the elements = -366.0 kJ per mole of atoms
Space group = No. 20

---

Material: Sm3TaO7
Method: DFT, GGA-PBE
State: optimized geometry

The structure in CIF format:
```
data_Sm3TaO7
_chemical_formula_sum 'Sm12 Ta4 O28'
_cell_length_a 7.597
_cell_length_b 7.678
_cell_length_c 10.839
_cell_angle_alpha 90.00
_cell_angle_beta 90.00
_cell_angle_gamma 90.00
_space_group_name_H-M_alt 'P 1'
_space_group_IT_number 1
_space_group_name_Hall 'P 1'
loop_
_atom_site_label
_atom_site_fract_x
_atom_site_fract_y
_atom_site_fract_z
O1 0.466 0.550 0.874
O2 0.961 0.413 0.114
O3 0.748 0.175 0.250
O4 0.752 0.675 0.750
O5 0.461 0.087 0.114
O6 0.245 0.231 0.883
O7 0.034 0.050 0.374
O8 0.252 0.825 0.750
O9 0.961 0.413 0.386
O10 0.255 0.731 0.383
O11 0.966 0.950 0.626
O12 0.755 0.769 0.383
O13 0.039 0.587 0.886
O14 0.461 0.087 0.386
O15 0.248 0.325 0.250
O16 0.034 0.050 0.126
O17 0.539 0.913 0.614
O18 0.245 0.231 0.617
O19 0.539 0.913 0.886
O20 0.039 0.587 0.614
O21 0.255 0.731 0.117
O22 0.755 0.769 0.117
O23 0.745 0.269 0.617
O24 0.745 0.269 0.883
O25 0.534 0.450 0.374
O26 0.534 0.450 0.126
O27 0.966 0.950 0.874
O28 0.466 0.550 0.626
Ta1 0.999 0.749 0.750
Ta2 0.501 0.249 0.250
Ta3 0.001 0.251 0.250
Ta4 0.499 0.751 0.750
Sm1 0.748 0.038 0.478
Sm2 0.752 0.538 0.522
Sm3 0.988 0.206 0.750
Sm4 0.248 0.462 0.022
Sm5 0.248 0.462 0.478
Sm6 0.012 0.794 0.250
Sm7 0.252 0.962 0.522
Sm8 0.748 0.038 0.022
Sm9 0.252 0.962 0.978
Sm10 0.512 0.706 0.250
Sm11 0.488 0.294 0.750
Sm12 0.752 0.538 0.978
```

Offset from the most stable computed form = 2 meV per atom
Energy relative to the elements = -365.8 kJ per mole of atoms
Space group = No. 62

---

Material: Sm3TaO7
Method: DFT, GGA-PBE
State: optimized geometry

The structure in CIF format:
```
data_Sm3TaO7
_chemical_formula_sum 'Sm6 Ta2 O14'
_cell_length_a 6.601
_cell_length_b 6.601
_cell_length_c 7.671
_cell_angle_alpha 90.00
_cell_angle_beta 90.00
_cell_angle_gamma 110.59
_space_group_name_H-M_alt 'P 1'
_space_group_IT_number 1
_space_group_name_Hall 'P 1'
loop_
_atom_site_label
_atom_site_fract_x
_atom_site_fract_y
_atom_site_fract_z
Sm1 0.517 0.059 0.250
Sm2 0.000 0.000 0.000
Sm3 0.941 0.483 0.750
Sm4 0.483 0.941 0.750
Sm5 0.000 0.000 0.500
Sm6 0.059 0.517 0.250
O1 0.152 0.888 0.250
O2 0.437 0.182 0.968
O3 0.888 0.152 0.250
O4 0.818 0.563 0.468
O5 0.182 0.437 0.532
O6 0.567 0.567 0.750
O7 0.112 0.848 0.750
O8 0.437 0.182 0.532
O9 0.818 0.563 0.032
O10 0.433 0.433 0.250
O11 0.182 0.437 0.968
O12 0.848 0.112 0.750
O13 0.563 0.818 0.032
O14 0.563 0.818 0.468
Ta1 0.500 0.500 0.500
Ta2 0.500 0.500 0.000
```

Offset from the most stable computed form = 13 meV per atom
Energy relative to the elements = -364.7 kJ per mole of atoms
Space group = No. 63

---

Material: SmTaO4
Method: DFT, GGA-PBE
State: optimized geometry

The structure in CIF format:
```
data_SmTaO4
_chemical_formula_sum 'Sm2 Ta2 O8'
_cell_length_a 7.752
_cell_length_b 7.752
_cell_length_c 5.552
_cell_angle_alpha 90.00
_cell_angle_beta 90.00
_cell_angle_gamma 150.64
_space_group_name_H-M_alt 'P 1'
_space_group_IT_number 1
_space_group_name_Hall 'P 1'
loop_
_atom_site_label
_atom_site_fract_x
_atom_site_fract_y
_atom_site_fract_z
O1 0.335 0.665 0.582
O2 0.907 0.093 0.267
O3 0.701 0.299 0.596
O4 0.665 0.335 0.082
O5 0.471 0.529 0.963
O6 0.299 0.701 0.096
O7 0.529 0.471 0.463
O8 0.093 0.907 0.767
Sm1 0.183 0.817 0.367
Sm2 0.817 0.183 0.867
Ta1 0.585 0.415 0.809
Ta2 0.415 0.585 0.309
```

Maximum piezoelectric response = 2.05 C/m2
Energy relative to the elements = -351.6 kJ per mole of atoms
Space group = No. 36

---

Material: Sm3TaO7
Method: DFT, GGA-PBE
State: optimized geometry

The structure in CIF format:
```
data_Sm3TaO7
_chemical_formula_sum 'Sm6 Ta2 O14'
_cell_length_a 6.601
_cell_length_b 6.601
_cell_length_c 7.668
_cell_angle_alpha 90.00
_cell_angle_beta 90.00
_cell_angle_gamma 109.67
_space_group_name_H-M_alt 'P 1'
_space_group_IT_number 1
_space_group_name_Hall 'P 1'
loop_
_atom_site_label
_atom_site_fract_x
_atom_site_fract_y
_atom_site_fract_z
O1 0.630 0.370 0.250
O2 0.071 0.317 0.469
O3 0.061 0.939 0.250
O4 0.939 0.061 0.750
O5 0.317 0.071 0.531
O6 0.683 0.929 0.031
O7 0.683 0.929 0.469
O8 0.071 0.317 0.031
O9 0.929 0.683 0.531
O10 0.370 0.630 0.750
O11 0.929 0.683 0.969
O12 0.365 0.635 0.250
O13 0.635 0.365 0.750
O14 0.317 0.071 0.969
Sm1 0.000 0.465 0.750
Sm2 0.465 0.000 0.250
Sm3 0.000 0.535 0.250
Sm4 0.500 0.500 0.000
Sm5 0.500 0.500 0.500
Sm6 0.535 0.000 0.750
Ta1 0.000 0.000 0.500
Ta2 0.000 0.000 0.000
```

Offset from the most stable computed form = 3 meV per atom
Energy relative to the elements = -365.7 kJ per mole of atoms
Space group = No. 63

---

Material: SmTaO4
Method: DFT, GGA-PBE
State: optimized geometry

The structure in CIF format:
```
data_SmTaO4
_chemical_formula_sum 'Sm2 Ta2 O8'
_cell_length_a 5.235
_cell_length_b 5.607
_cell_length_c 5.428
_cell_angle_alpha 90.00
_cell_angle_beta 83.20
_cell_angle_gamma 90.00
_space_group_name_H-M_alt 'P 1'
_space_group_IT_number 1
_space_group_name_Hall 'P 1'
loop_
_atom_site_label
_atom_site_fract_x
_atom_site_fract_y
_atom_site_fract_z
O1 0.727 0.563 0.493
O2 0.273 0.563 0.007
O3 0.253 0.909 0.393
O4 0.727 0.437 0.993
O5 0.747 0.091 0.607
O6 0.253 0.091 0.893
O7 0.747 0.909 0.107
O8 0.273 0.437 0.507
Ta1 0.500 0.689 0.250
Ta2 0.500 0.311 0.750
Sm1 0.000 0.765 0.750
Sm2 0.000 0.235 0.250
```

Energy relative to the elements = -357.1 kJ per mole of atoms
Space group = No. 13

---

Material: Sm3TaO7
Method: DFT, GGA-PBE
State: optimized geometry

The structure in CIF format:
```
data_Sm3TaO7
_chemical_formula_sum 'Sm6 Ta2 O14'
_cell_length_a 8.304
_cell_length_b 8.304
_cell_length_c 5.472
_cell_angle_alpha 90.00
_cell_angle_beta 90.00
_cell_angle_gamma 125.15
_space_group_name_H-M_alt 'P 1'
_space_group_IT_number 1
_space_group_name_Hall 'P 1'
loop_
_atom_site_label
_atom_site_fract_x
_atom_site_fract_y
_atom_site_fract_z
O1 0.510 0.490 0.208
O2 0.839 0.607 0.767
O3 0.107 0.339 0.767
O4 0.161 0.393 0.233
O5 0.661 0.893 0.767
O6 0.990 0.010 0.208
O7 0.750 0.250 0.243
O8 0.393 0.161 0.767
O9 0.339 0.107 0.233
O10 0.250 0.750 0.757
O11 0.607 0.839 0.233
O12 0.490 0.510 0.792
O13 0.893 0.661 0.233
O14 0.010 0.990 0.792
Sm1 0.000 0.500 0.000
Sm2 0.618 0.382 0.472
Sm3 0.118 0.882 0.528
Sm4 0.500 0.000 0.000
Sm5 0.882 0.118 0.472
Sm6 0.382 0.618 0.528
Ta1 0.750 0.750 0.000
Ta2 0.250 0.250 0.000
```

Offset from the most stable computed form = 299 meV per atom
Energy relative to the elements = -337.1 kJ per mole of atoms
Space group = No. 67

---

Material: Sm2Ta2O9
Method: DFT, GGA-PBE
State: optimized geometry

The structure in CIF format:
```
data_Sm2Ta2O9
_chemical_formula_sum 'Sm4 Ta4 O18'
_cell_length_a 3.879
_cell_length_b 6.684
_cell_length_c 15.485
_cell_angle_alpha 67.33
_cell_angle_beta 90.00
_cell_angle_gamma 90.00
_space_group_name_H-M_alt 'P 1'
_space_group_IT_number 1
_space_group_name_Hall 'P 1'
loop_
_atom_site_label
_atom_site_fract_x
_atom_site_fract_y
_atom_site_fract_z
Ta1 0.003 0.307 0.960
Ta2 0.497 0.307 0.460
Ta3 0.503 0.693 0.540
Ta4 0.997 0.693 0.040
Sm1 0.504 0.687 0.804
Sm2 0.996 0.687 0.304
Sm3 0.496 0.313 0.196
Sm4 0.004 0.313 0.696
O1 0.000 0.000 0.000
O2 0.009 0.941 0.718
O3 0.001 0.661 0.917
O4 0.499 0.661 0.417
O5 0.501 0.339 0.583
O6 0.509 0.059 0.782
O7 0.498 0.652 0.050
O8 0.991 0.059 0.282
O9 0.491 0.941 0.218
O10 0.997 0.578 0.178
O11 0.500 0.000 0.500
O12 0.497 0.422 0.322
O13 0.999 0.339 0.083
O14 0.003 0.422 0.822
O15 0.503 0.578 0.678
O16 0.502 0.348 0.950
O17 0.002 0.652 0.550
O18 0.998 0.348 0.450
```

Energy relative to the elements = -315.2 kJ per mole of atoms
Space group = No. 14

---

Material: SmTaO4
Method: DFT, GGA-PBE
State: optimized geometry

The structure in CIF format:
```
data_SmTaO4
_chemical_formula_sum 'Sm4 Ta4 O16'
_cell_length_a 5.458
_cell_length_b 7.673
_cell_length_c 7.714
_cell_angle_alpha 80.38
_cell_angle_beta 90.00
_cell_angle_gamma 90.00
_space_group_name_H-M_alt 'P 1'
_space_group_IT_number 1
_space_group_name_Hall 'P 1'
loop_
_atom_site_label
_atom_site_fract_x
_atom_site_fract_y
_atom_site_fract_z
O1 0.594 0.060 0.801
O2 0.094 0.940 0.699
O3 0.142 0.172 0.942
O4 0.998 0.671 0.374
O5 0.486 0.386 0.672
O6 0.002 0.329 0.626
O7 0.858 0.828 0.058
O8 0.986 0.614 0.828
O9 0.014 0.386 0.172
O10 0.514 0.614 0.328
O11 0.498 0.329 0.126
O12 0.906 0.060 0.301
O13 0.358 0.172 0.442
O14 0.502 0.671 0.874
O15 0.642 0.828 0.558
O16 0.406 0.940 0.199
Sm1 0.779 0.352 0.896
Sm2 0.721 0.352 0.396
Sm3 0.279 0.648 0.604
Sm4 0.221 0.648 0.104
Ta1 0.733 0.834 0.305
Ta2 0.767 0.834 0.805
Ta3 0.267 0.166 0.695
Ta4 0.233 0.166 0.195
```

Energy relative to the elements = -355.4 kJ per mole of atoms
Space group = No. 14

---

Material: TbSmO3
Method: DFT, GGA-PBE
State: optimized geometry

The structure in CIF format:
```
data_TbSmO3
_chemical_formula_sum 'Tb4 Sm4 O12'
_cell_length_a 5.829
_cell_length_b 6.078
_cell_length_c 8.508
_cell_angle_alpha 90.00
_cell_angle_beta 90.00
_cell_angle_gamma 90.00
_space_group_name_H-M_alt 'P 1'
_space_group_IT_number 1
_space_group_name_Hall 'P 1'
loop_
_atom_site_label
_atom_site_fract_x
_atom_site_fract_y
_atom_site_fract_z
O1 0.681 0.316 0.426
O2 0.181 0.184 0.574
O3 0.819 0.816 0.426
O4 0.144 0.421 0.250
O5 0.681 0.316 0.074
O6 0.181 0.184 0.926
O7 0.356 0.921 0.250
O8 0.319 0.684 0.926
O9 0.819 0.816 0.074
O10 0.319 0.684 0.574
O11 0.856 0.579 0.750
O12 0.644 0.079 0.750
Tb1 0.000 0.500 0.500
Tb2 0.500 0.000 0.500
Tb3 0.500 0.000 0.000
Tb4 0.000 0.500 0.000
Sm1 0.988 0.049 0.250
Sm2 0.012 0.951 0.750
Sm3 0.488 0.451 0.750
Sm4 0.512 0.549 0.250
```

Energy relative to the elements = -370.5 kJ per mole of atoms
Space group = No. 62

---

Material: Sm2Tc2O7
Method: DFT, GGA-PBE
State: optimized geometry

The structure in CIF format:
```
data_Sm2Tc2O7
_chemical_formula_sum 'Sm4 Tc4 O14'
_cell_length_a 7.396
_cell_length_b 7.396
_cell_length_c 7.396
_cell_angle_alpha 60.00
_cell_angle_beta 60.00
_cell_angle_gamma 60.00
_space_group_name_H-M_alt 'P 1'
_space_group_IT_number 1
_space_group_name_Hall 'P 1'
loop_
_atom_site_label
_atom_site_fract_x
_atom_site_fract_y
_atom_site_fract_z
O1 0.041 0.459 0.041
O2 0.459 0.459 0.041
O3 0.791 0.209 0.209
O4 0.459 0.041 0.459
O5 0.209 0.791 0.791
O6 0.209 0.791 0.209
O7 0.041 0.041 0.459
O8 0.500 0.500 0.500
O9 0.791 0.791 0.209
O10 0.209 0.209 0.791
O11 0.041 0.459 0.459
O12 0.459 0.041 0.041
O13 0.750 0.750 0.750
O14 0.791 0.209 0.791
Tc1 0.125 0.625 0.125
Tc2 0.125 0.125 0.625
Tc3 0.625 0.125 0.125
Tc4 0.125 0.125 0.125
Sm1 0.625 0.625 0.625
Sm2 0.625 0.125 0.625
Sm3 0.625 0.625 0.125
Sm4 0.125 0.625 0.625
```

Energy relative to the elements = -268.1 kJ per mole of atoms
Space group = No. 227